--- 1 ---
The following is a DFT calculation (PBE-GGA) of a relaxed TeMoWSeS2 crystal.

Cell and atoms, written as POSCAR:
```
TeMoWSeS2
1.0
-1.9395 1.1747 2.4062
-0.7067 -2.8979 -1.4263
21.9062 -18.4711 26.6747
Te Mo W Se S
2 2 2 2 4
direct
0.3333 0.6667 0.4202
0.3333 0.6667 0.5179
0.0000 0.0000 0.0939
0.0000 0.0000 0.4690
0.3333 0.6667 0.2812
0.3333 0.6667 0.6587
0.0000 0.0000 0.7019
0.0000 0.0000 0.6155
0.0000 0.0000 0.3204
0.3333 0.6667 0.0549
0.3333 0.6667 0.1330
0.0000 0.0000 0.2420
```

Computed properties:
SG ... P3m1, No. 156

--- 2 ---
The following is a DFT calculation (PBE-GGA) of a relaxed TeMoWSeS2 crystal.

Cell and atoms, written as POSCAR:
```
TeMoWSeS2
1.0
-2.4114 0.2177 -2.2584
-0.5881 -1.4565 2.9147
-10.5661 33.2591 14.4875
Te Mo W Se S
2 2 2 2 4
direct
0.3333 0.6667 0.7087
0.3333 0.6667 0.6069
0.3333 0.6667 0.0939
0.6667 0.3333 0.2818
0.3333 0.6667 0.4694
0.6667 0.3333 0.6578
0.6667 0.3333 0.4248
0.6667 0.3333 0.5141
0.3333 0.6667 0.3222
0.6667 0.3333 0.0535
0.6667 0.3333 0.1343
0.3333 0.6667 0.2413
```

Computed properties:
SG ... P3m1, No. 156

Most stable: 1 (next structure +3.7 kJ/mol of atoms)

--- 1 ---
The following is a DFT calculation (PBE-GGA) of a relaxed Li5Mg crystal.

Cell and atoms, written as POSCAR:
```
Li5Mg
1.0
2.5789 1.6068 -7.4130
-4.2867 0.9112 6.7067
3.5557 2.9373 1.8736
Li Mg
5 1
direct
0.0008 0.9992 0.5000
0.6670 0.3330 0.5000
0.3336 0.6664 0.5000
0.5550 0.4450 0.0000
0.8891 0.1109 0.0000
0.2212 0.7788 0.0000
```

Computed properties:
SG ... Amm2, No. 38

--- 2 ---
The following is a DFT calculation (PBE-GGA) of a relaxed Li5Mg crystal.

Cell and atoms, written as POSCAR:
```
Li5Mg
1.0
-0.4784 3.2754 4.8270
-3.8234 -0.7737 4.3635
1.2545 -1.6625 5.4699
Li Mg
5 1
direct
0.1674 0.8326 0.5000
0.5000 0.1674 0.8326
0.8326 0.5000 0.1674
0.3333 0.3333 0.3333
0.6667 0.6667 0.6667
0.0000 0.0000 0.0000
```

Computed properties:
SG ... R32, No. 155

Most stable: 2 (next structure +1.2 kJ/mol of atoms)

--- 1 ---
The following is a DFT calculation (PBE-GGA) of a relaxed Ga3Au crystal.

Cell and atoms, written as POSCAR:
```
Ga3Au
1.0
0.0000 3.3360 3.3360
3.3360 0.0000 3.3360
3.3360 3.3360 0.0000
Ga Au
3 1
direct
0.2500 0.2500 0.2500
0.7500 0.7500 0.7500
0.5000 0.5000 0.5000
0.0000 0.0000 0.0000
```

Computed properties:
SG ... Fm-3m, No. 225

--- 2 ---
The following is a DFT calculation (PBE-GGA) of a relaxed Ga3Au crystal.

Cell and atoms, written as POSCAR:
```
Ga3Au
1.0
-2.1185 2.1185 4.1058
2.1185 -2.1185 4.1058
2.1185 2.1185 -4.1058
Ga Au
3 1
direct
0.7500 0.2500 0.5000
0.2500 0.7500 0.5000
0.5000 0.5000 0.0000
0.0000 0.0000 0.0000
```

Computed properties:
SG ... I4/mmm, No. 139

Most stable: 2 (next structure +0.7 kJ/mol of atoms)

--- 1 ---
The following is a DFT calculation (PBE-GGA) of a relaxed LiSi3BiO8 crystal.

Cell and atoms, written as POSCAR:
```
LiSi3BiO8
1.0
-5.4107 -4.7119 0.0586
4.8257 -3.6953 -4.3693
2.4672 0.6826 7.3343
Li Si Bi O
2 6 2 16
direct
0.8131 0.1936 0.8416
0.3333 0.5827 0.8265
0.6591 0.4104 0.1718
0.6297 0.2072 0.4424
0.7671 0.8277 0.1866
0.2157 0.8360 0.1889
0.2174 0.1515 0.7853
0.3770 0.7906 0.5553
0.1169 0.2782 0.3571
0.8316 0.7294 0.7495
0.8431 0.3249 0.1330
0.7433 0.0471 0.3284
0.4389 0.3058 0.9802
0.3798 0.0747 0.3250
0.0130 0.8952 0.2277
0.6355 0.3895 0.3698
0.7206 0.6626 0.2674
0.7275 0.3315 0.6816
0.2925 0.7068 0.3054
0.1696 0.2813 0.6569
0.3057 0.5841 0.5759
0.0426 0.0808 0.8626
0.6230 0.8970 0.6593
0.6474 0.7388 0.9453
0.2529 0.9414 0.6444
0.1676 0.7306 0.9529
```

Computed properties:
SG ... P1, No. 1

--- 2 ---
The following is a DFT calculation (PBE-GGA) of a relaxed LiSi3BiO8 crystal.

Cell and atoms, written as POSCAR:
```
LiSi3BiO8
1.0
-4.6494 -5.3185 3.0063
7.2410 -2.2469 -1.2083
3.8720 2.4161 12.6849
Li Si Bi O
4 12 4 32
direct
0.3700 0.0536 0.8171
0.0536 0.3700 0.3171
0.9464 0.6300 0.6829
0.6300 0.9464 0.1829
0.6427 0.8496 0.8227
0.9519 0.7452 0.9046
0.3265 0.4180 0.8858
0.5820 0.6735 0.6142
0.2548 0.0481 0.5954
0.8496 0.6427 0.3227
0.1504 0.3573 0.6773
0.7452 0.9519 0.4046
0.4180 0.3265 0.3858
0.0481 0.2548 0.0954
0.6735 0.5820 0.1142
0.3573 0.1504 0.1773
0.7119 0.2746 0.5668
0.7254 0.2881 0.9332
0.2746 0.7119 0.0668
0.2881 0.7254 0.4332
0.1749 0.8683 0.9197
0.4569 0.6558 0.8828
0.4321 0.0935 0.6664
0.6451 0.8101 0.7054
0.6127 0.0416 0.8406
0.4577 0.3011 0.8881
0.8470 0.8799 0.8645
0.6558 0.4569 0.3828
0.8683 0.1749 0.4197
0.6989 0.5423 0.6119
0.1201 0.1530 0.6355
0.0935 0.4321 0.1664
0.8101 0.6451 0.2054
0.9584 0.3873 0.6594
0.3793 0.1724 0.4855
0.6207 0.8276 0.5145
0.0416 0.6127 0.3406
0.9065 0.5679 0.8336
0.1899 0.3549 0.7946
0.8799 0.8470 0.3645
0.3011 0.4577 0.3881
0.1317 0.8251 0.5803
0.3442 0.5431 0.6172
0.1530 0.1201 0.1355
0.5423 0.6989 0.1119
0.3873 0.9584 0.1594
0.1724 0.3793 0.9855
0.8276 0.6207 0.0145
0.3549 0.1899 0.2946
0.5679 0.9065 0.3336
0.5431 0.3442 0.1172
0.8251 0.1317 0.0803
```

Computed properties:
SG ... C2/c, No. 15

Most stable: 2 (next structure +2.2 kJ/mol of atoms)

--- 1 ---
The following is a DFT calculation (PBE-GGA) of a relaxed Ca2Al4Si4H18O25 crystal.

Cell and atoms, written as POSCAR:
```
Ca2Al4Si4H18O25
1.0
-5.5832 -5.6708 -6.6146
-3.7768 -5.8317 7.8832
-8.7342 6.8795 1.3831
Ca Al Si H O
4 8 8 36 50
direct
0.2910 0.6019 0.1405
0.6848 0.0339 0.3506
0.3039 0.9142 0.6954
0.1097 0.5974 0.6032
0.5961 0.8832 0.1106
0.1372 0.0882 0.1500
0.9043 0.6059 0.2941
0.3940 0.3749 0.3412
0.5813 0.6634 0.6577
0.1532 0.3551 0.7364
0.8472 0.0176 0.7313
0.3010 0.1861 0.9135
0.9003 0.8969 0.2174
0.4610 0.1480 0.1468
0.5689 0.6399 0.2825
0.0859 0.3545 0.2895
0.8261 0.6347 0.6612
0.4229 0.4292 0.6173
0.5791 0.8964 0.8129
0.0744 0.0967 0.8556
0.0522 0.6700 0.0100
0.6036 0.2796 0.0254
0.0263 0.2379 0.0082
0.7163 0.5174 0.2001
0.9513 0.3888 0.0882
0.5421 0.5074 0.0583
0.7514 0.2296 0.2068
0.3217 0.9424 0.3435
0.1417 0.8606 0.4671
0.2703 0.6113 0.3711
0.2519 0.0964 0.3254
0.9636 0.7314 0.4422
0.5028 0.7920 0.4066
0.8509 0.2450 0.4502
0.0396 0.8879 0.5717
0.5431 0.1795 0.5231
0.0431 0.3309 0.5426
0.7353 0.8285 0.6374
0.7263 0.3932 0.5703
0.9113 0.0100 0.5232
0.0231 0.1825 0.3919
0.5286 0.0592 0.6866
0.6911 0.1949 0.7394
0.7684 0.1876 0.5601
0.9813 0.4838 0.7997
0.4579 0.0518 0.5135
0.9280 0.7251 0.8207
0.2933 0.7607 0.3761
0.6056 0.4554 0.9099
0.8896 0.7487 0.0405
0.1094 0.5526 0.9431
0.2551 0.8655 0.9780
0.4688 0.3363 0.7902
0.9357 0.8591 0.9504
0.4692 0.6912 0.9654
0.9541 0.3954 0.9479
0.9232 0.7659 0.9589
0.9359 0.3382 0.0166
0.4178 0.5131 0.0022
0.3240 0.1310 0.0692
0.6429 0.4892 0.0724
0.7541 0.9153 0.1556
0.9306 0.7415 0.2061
0.0134 0.9736 0.1433
0.5351 0.7314 0.1663
0.2253 0.0242 0.2796
0.5146 0.0060 0.1927
0.4692 0.5212 0.2872
0.7234 0.5724 0.2725
0.4402 0.2404 0.2595
0.9792 0.4639 0.2499
0.1020 0.2437 0.1961
0.2272 0.4222 0.3114
0.3708 0.8943 0.4146
0.4764 0.5716 0.5831
0.8802 0.9438 0.3535
0.9539 0.6388 0.4426
0.1194 0.8279 0.5473
0.7761 0.1918 0.4689
0.0758 0.3952 0.5955
0.3409 0.9839 0.5101
0.4172 0.3488 0.4946
0.5521 0.0867 0.5254
0.7685 0.1632 0.7008
0.7058 0.5747 0.7373
0.5762 0.1936 0.0545
0.9420 0.7083 0.7324
0.0734 0.4827 0.8182
0.5027 0.7861 0.7368
0.2853 0.4558 0.6852
0.7285 0.7495 0.5875
0.4941 0.0260 0.7653
0.7257 0.9038 0.7616
0.5167 0.3489 0.7153
0.9585 0.9974 0.8494
0.0579 0.2171 0.7652
0.0209 0.2733 0.4085
0.2235 0.0373 0.8435
0.5761 0.7304 0.3988
0.9390 0.9791 0.6027
0.2463 0.6936 0.3334
0.3891 0.6441 0.9529
0.5635 0.8736 0.9559
0.6688 0.4148 0.9657
0.1132 0.5967 0.0215
0.0909 0.1577 0.9922
```

Computed properties:
SG ... P1, No. 1

--- 2 ---
The following is a DFT calculation (PBE-GGA) of a relaxed Ca2Al4Si4H18O25 crystal.

Cell and atoms, written as POSCAR:
```
Ca2Al4Si4H18O25
1.0
-9.2382 3.1432 1.5273
-3.2290 -7.8891 -6.0078
-0.5897 -6.1316 8.7727
Ca Al Si H O
4 8 8 36 50
direct
0.1528 0.2725 0.5708
0.4264 0.7387 0.1155
0.6425 0.3127 0.8760
0.8491 0.7312 0.3498
0.2006 0.5963 0.8810
0.1644 0.0790 0.1277
0.3157 0.9054 0.6178
0.3646 0.4022 0.3465
0.6481 0.5703 0.6427
0.6918 0.1058 0.3669
0.8070 0.9088 0.9039
0.8399 0.4189 0.1265
0.1436 0.9056 0.8785
0.1705 0.4009 0.1090
0.3224 0.6020 0.5804
0.3506 0.0936 0.3762
0.6423 0.9128 0.6622
0.6966 0.4098 0.4037
0.0319 0.5745 0.6668
0.8371 0.0232 0.1849
0.9645 0.9095 0.7071
0.0283 0.5295 0.2860
0.0795 0.7567 0.5741
0.1320 0.9086 0.4192
0.1291 0.5836 0.3870
0.1242 0.2622 0.3353
0.3667 0.7921 0.8706
0.3424 0.3905 0.8956
0.4159 0.0730 0.9385
0.3554 0.2547 0.0868
0.3470 0.3271 0.7125
0.4478 0.4766 0.8234
0.4829 0.0033 0.1716
0.4352 0.7947 0.3701
0.5071 0.2411 0.6605
0.4920 0.0481 0.8149
0.5590 0.5347 0.2642
0.5024 0.7832 0.3368
0.6708 0.7104 0.8945
0.6015 0.9617 0.0810
0.6826 0.5578 0.0651
0.5775 0.9874 0.4864
0.6478 0.2371 0.5926
0.7673 0.2177 0.0924
0.7880 0.7596 0.6865
0.8477 0.6879 0.0818
0.9738 0.1401 0.9122
0.8575 0.3692 0.6116
0.9033 0.1130 0.5696
0.9648 0.2554 0.3359
0.9071 0.5870 0.8546
0.0048 0.0164 0.6219
0.8887 0.3830 0.7491
0.0285 0.9492 0.3211
0.0136 0.2018 0.9234
0.9857 0.7739 0.0966
0.9799 0.9152 0.8658
0.9974 0.7170 0.6125
0.0428 0.8830 0.3847
0.0173 0.4360 0.1433
0.0387 0.5965 0.3532
0.1799 0.7583 0.9166
0.2063 0.9965 0.9907
0.2105 0.9393 0.7436
0.2049 0.5644 0.7026
0.2040 0.4547 0.9673
0.1975 0.2455 0.1031
0.2772 0.7478 0.5534
0.2776 0.4953 0.4731
0.2762 0.4623 0.2154
0.2761 0.0397 0.2492
0.2908 0.0179 0.4996
0.3113 0.2460 0.4035
0.4213 0.3846 0.8365
0.4722 0.5892 0.6332
0.4814 0.9067 0.6774
0.4484 0.7439 0.8909
0.4766 0.1148 0.8777
0.5027 0.9482 0.0994
0.4608 0.2680 0.0828
0.5131 0.0739 0.3627
0.5357 0.4422 0.3835
0.5538 0.5858 0.1855
0.6007 0.2181 0.6735
0.6293 0.7100 0.2147
0.7027 0.7584 0.6376
0.6690 0.9881 0.5275
0.7279 0.9795 0.7743
0.7040 0.4863 0.7660
0.7444 0.5202 0.5108
0.7161 0.2603 0.4541
0.7626 0.7468 0.8900
0.7722 0.5376 0.0335
0.7849 0.4422 0.2814
0.7771 0.9491 0.3098
0.7710 0.9795 0.0494
0.7905 0.2843 0.0301
0.4988 0.3060 0.2003
0.9069 0.7419 0.1412
0.3862 0.6170 0.9223
0.7745 0.1620 0.2285
0.9268 0.3445 0.6726
0.9991 0.5701 0.8211
0.9999 0.0993 0.5766
0.0450 0.2880 0.3827
0.0021 0.0344 0.1824
```

Computed properties:
SG ... P1, No. 1

Most stable: 2 (next structure +3.4 kJ/mol of atoms)